No. 1
Here is a geometry-optimized Li6MnV3P6O24 structure from the Materials Project database. Energies are from PBE+U.

Lattice parameters (Å, degrees): 8.720 8.740 12.236 89.60 88.87 89.79
Atoms (fractional coordinates):
1 Li 0.000 0.000 0.000
2 Li 0.007 0.613 0.935
3 Li 0.156 0.778 0.539
4 Li 0.164 0.394 0.474
5 Li 0.290 0.476 0.063
6 Li 0.371 0.977 0.912
7 Li 0.497 0.893 0.498
8 Li 0.507 0.280 0.433
9 Li 0.656 0.117 0.039
10 Li 0.665 0.497 0.976
11 Li 0.788 0.413 0.562
12 Li 0.874 0.914 0.411
13 Mn 0.328 0.158 0.129
14 Mn 0.836 0.162 0.842
15 V 0.329 0.226 0.627
16 V 0.333 0.656 0.847
17 V 0.334 0.726 0.345
18 V 0.828 0.667 0.127
19 V 0.828 0.734 0.626
20 V 0.834 0.235 0.346
21 P 0.044 0.447 0.730
22 P 0.117 0.944 0.743
23 P 0.185 0.080 0.384
24 P 0.186 0.798 0.086
25 P 0.477 0.299 0.886
26 P 0.477 0.579 0.589
27 P 0.545 0.448 0.230
28 P 0.618 0.950 0.244
29 P 0.684 0.814 0.884
30 P 0.685 0.092 0.585
31 P 0.976 0.591 0.386
32 P 0.978 0.312 0.091
33 O 0.007 0.807 0.088
34 O 0.011 0.100 0.406
35 O 0.012 0.013 0.834
36 O 0.032 0.829 0.671
37 O 0.129 0.562 0.802
38 O 0.150 0.377 0.640
39 O 0.154 0.292 0.069
40 O 0.154 0.581 0.384
41 O 0.188 0.062 0.665
42 O 0.220 0.105 0.262
43 O 0.225 0.673 0.997
44 O 0.225 0.912 0.418
45 O 0.238 0.957 0.044
46 O 0.250 0.864 0.804
47 O 0.254 0.747 0.193
48 O 0.276 0.197 0.453
49 O 0.385 0.697 0.518
50 O 0.410 0.248 0.779
51 O 0.413 0.375 0.169
52 O 0.422 0.461 0.923
53 O 0.434 0.608 0.709
54 O 0.436 0.177 0.977
55 O 0.439 0.411 0.555
56 O 0.479 0.566 0.311
57 O 0.506 0.081 0.587
58 O 0.510 0.792 0.905
59 O 0.511 0.880 0.334
60 O 0.532 0.066 0.170
61 O 0.630 0.330 0.302
62 O 0.651 0.600 0.568
63 O 0.654 0.518 0.140
64 O 0.657 0.310 0.885
65 O 0.689 0.832 0.166
66 O 0.723 0.214 0.493
67 O 0.723 0.983 0.917
68 O 0.727 0.786 0.764
69 O 0.740 0.930 0.548
70 O 0.751 0.029 0.304
71 O 0.754 0.148 0.689
72 O 0.776 0.696 0.955
73 O 0.886 0.193 0.026
74 O 0.907 0.645 0.280
75 O 0.910 0.526 0.669
76 O 0.921 0.430 0.424
77 O 0.936 0.713 0.476
78 O 0.939 0.289 0.213
79 O 0.939 0.480 0.056
80 O 0.977 0.329 0.812

Properties
Calculated volume = 932.3 Å³ per cell
Formation enthalpy at 0 K = -107.36 eV per formula unit
Electronic total energy = -7.08 eV per atom

=====

No. 2
Here is a geometry-optimized Li2MnVP4O14 structure from the Materials Project database. Energies are from PBE+U.

Lattice parameters (Å, degrees): 4.870 7.075 24.834 89.52 89.76 71.19
Atoms (fractional coordinates):
1 Li 0.000 0.000 0.000
2 Li 0.002 0.001 0.666
3 Li 0.005 0.000 0.333
4 Li 0.350 0.651 0.500
5 Li 0.352 0.653 0.167
6 Li 0.355 0.652 0.833
7 Mn 0.390 0.598 0.379
8 Mn 0.964 0.053 0.546
9 Mn 0.965 0.057 0.212
10 V 0.391 0.597 0.046
11 V 0.394 0.600 0.713
12 V 0.963 0.054 0.880
13 P 0.392 0.234 0.476
14 P 0.392 0.240 0.808
15 P 0.393 0.236 0.142
16 P 0.578 0.802 0.940
17 P 0.580 0.803 0.605
18 P 0.580 0.809 0.272
19 P 0.777 0.842 0.439
20 P 0.778 0.844 0.107
21 P 0.778 0.850 0.773
22 P 0.965 0.412 0.975
23 P 0.965 0.417 0.309
24 P 0.967 0.413 0.642
25 O 0.044 0.212 0.945
26 O 0.050 0.217 0.281
27 O 0.051 0.212 0.614
28 O 0.121 0.181 0.155
29 O 0.123 0.175 0.489
30 O 0.128 0.178 0.821
31 O 0.227 0.480 0.655
32 O 0.228 0.473 0.988
33 O 0.233 0.476 0.323
34 O 0.307 0.436 0.447
35 O 0.310 0.436 0.112
36 O 0.312 0.441 0.778
37 O 0.365 0.843 0.558
38 O 0.365 0.843 0.892
39 O 0.369 0.845 0.224
40 O 0.425 0.818 0.994
41 O 0.428 0.820 0.660
42 O 0.428 0.832 0.326
43 O 0.570 0.717 0.437
44 O 0.570 0.720 0.105
45 O 0.575 0.723 0.772
46 O 0.576 0.241 0.857
47 O 0.577 0.240 0.191
48 O 0.580 0.234 0.525
49 O 0.581 0.074 0.432
50 O 0.582 0.075 0.098
51 O 0.583 0.080 0.764
52 O 0.774 0.573 0.931
53 O 0.775 0.417 0.359
54 O 0.775 0.573 0.597
55 O 0.777 0.578 0.265
56 O 0.778 0.413 0.692
57 O 0.779 0.409 0.024
58 O 0.781 0.930 0.939
59 O 0.782 0.932 0.604
60 O 0.786 0.936 0.270
61 O 0.928 0.818 0.493
62 O 0.930 0.833 0.828
63 O 0.933 0.821 0.160
64 O 0.988 0.808 0.058
65 O 0.989 0.808 0.391
66 O 0.991 0.811 0.726

Properties
Calculated volume = 810.0 Å³ per cell
Formation enthalpy at 0 K = -58.37 eV per formula unit
Electronic total energy = -7.20 eV per atom

=====

No. 3
Here is a geometry-optimized Li6MnV3P6O24 structure from the Materials Project database. Energies are from PBE+U.

Lattice parameters (Å, degrees): 8.591 8.779 12.048 90.26 91.02 90.62
Atoms (fractional coordinates):
1 Li 0.000 0.000 0.000
2 Li 0.014 0.426 0.343
3 Li 0.116 0.733 0.831
4 Li 0.255 0.235 0.975
5 Li 0.355 0.926 0.462
6 Li 0.370 0.502 0.806
7 Li 0.500 0.527 0.499
8 Li 0.515 0.099 0.844
9 Li 0.615 0.792 0.331
10 Li 0.755 0.293 0.474
11 Li 0.856 0.599 0.962
12 Li 0.869 0.026 0.305
13 Mn 0.188 0.548 0.044
14 Mn 0.687 0.540 0.760
15 V 0.178 0.486 0.548
16 V 0.180 0.048 0.761
17 V 0.189 0.985 0.258
18 V 0.680 0.041 0.048
19 V 0.680 0.479 0.261
20 V 0.690 0.977 0.543
21 P 0.048 0.130 0.500
22 P 0.052 0.400 0.800
23 P 0.320 0.630 0.303
24 P 0.320 0.902 0.006
25 P 0.393 0.765 0.662
26 P 0.477 0.263 0.642
27 P 0.548 0.394 0.000
28 P 0.550 0.123 0.300
29 P 0.820 0.623 0.506
30 P 0.820 0.894 0.804
31 P 0.893 0.763 0.162
32 P 0.975 0.264 0.143
33 O 0.033 0.152 0.235
34 O 0.059 0.307 0.483
35 O 0.065 0.519 0.901
36 O 0.074 0.092 0.623
37 O 0.110 0.243 0.841
38 O 0.121 0.335 0.087
39 O 0.164 0.042 0.428
40 O 0.172 0.463 0.716
41 O 0.200 0.962 0.091
42 O 0.204 0.541 0.376
43 O 0.248 0.838 0.717
44 O 0.262 0.743 0.965
45 O 0.297 0.593 0.179
46 O 0.307 0.019 0.907
47 O 0.311 0.806 0.322
48 O 0.336 0.653 0.570
49 O 0.379 0.431 0.960
50 O 0.381 0.348 0.553
51 O 0.382 0.123 0.255
52 O 0.385 0.144 0.708
53 O 0.485 0.683 0.754
54 O 0.485 0.886 0.598
55 O 0.488 0.904 0.050
56 O 0.492 0.591 0.340
57 O 0.536 0.376 0.736
58 O 0.560 0.218 0.983
59 O 0.563 0.006 0.398
60 O 0.572 0.433 0.123
61 O 0.607 0.282 0.340
62 O 0.620 0.191 0.586
63 O 0.667 0.485 0.930
64 O 0.670 0.063 0.214
65 O 0.698 0.562 0.589
66 O 0.705 0.982 0.877
67 O 0.748 0.692 0.220
68 O 0.764 0.782 0.465
69 O 0.796 0.933 0.682
70 O 0.808 0.507 0.406
71 O 0.812 0.716 0.820
72 O 0.835 0.875 0.071
73 O 0.876 0.091 0.463
74 O 0.879 0.178 0.052
75 O 0.884 0.385 0.207
76 O 0.886 0.399 0.755
77 O 0.981 0.642 0.098
78 O 0.987 0.623 0.550
79 O 0.989 0.848 0.253
80 O 0.992 0.933 0.842

Properties
Calculated volume = 908.5 Å³ per cell
Formation enthalpy at 0 K = -107.25 eV per formula unit
Electronic total energy = -7.08 eV per atom

=====

No. 4
Here is a geometry-optimized Li6MnV3P6O24 structure from the Materials Project database. Energies are from PBE+U.

Lattice parameters (Å, degrees): 8.611 8.652 12.718 105.84 106.16 94.46
Atoms (fractional coordinates):
1 Li 0.000 0.000 0.000
2 Li 0.000 0.000 0.500
3 Li 0.000 0.001 0.251
4 Li 0.000 0.999 0.749
5 Li 0.212 0.787 0.874
6 Li 0.214 0.790 0.376
7 Li 0.492 0.505 0.625
8 Li 0.495 0.506 0.127
9 Li 0.505 0.494 0.873
10 Li 0.508 0.495 0.375
11 Li 0.786 0.210 0.624
12 Li 0.788 0.213 0.126
13 Mn 0.442 0.125 0.683
14 Mn 0.558 0.875 0.317
15 V 0.120 0.443 0.430
16 V 0.120 0.443 0.929
17 V 0.442 0.122 0.181
18 V 0.558 0.878 0.819
19 V 0.880 0.557 0.071
20 V 0.880 0.557 0.570
21 P 0.161 0.363 0.182
22 P 0.161 0.367 0.683
23 P 0.216 0.787 0.125
24 P 0.216 0.788 0.625
25 P 0.361 0.163 0.433
26 P 0.363 0.161 0.931
27 P 0.637 0.839 0.069
28 P 0.639 0.837 0.567
29 P 0.784 0.212 0.375
30 P 0.784 0.213 0.875
31 P 0.839 0.633 0.317
32 P 0.839 0.637 0.818
33 O 0.039 0.766 0.634
34 O 0.040 0.762 0.136
35 O 0.044 0.204 0.148
36 O 0.047 0.206 0.649
37 O 0.098 0.452 0.587
38 O 0.101 0.450 0.087
39 O 0.157 0.490 0.796
40 O 0.161 0.488 0.296
41 O 0.202 0.044 0.398
42 O 0.203 0.045 0.897
43 O 0.236 0.962 0.114
44 O 0.241 0.963 0.616
45 O 0.242 0.673 0.517
46 O 0.244 0.671 0.018
47 O 0.328 0.758 0.734
48 O 0.330 0.764 0.237
49 O 0.340 0.347 0.450
50 O 0.343 0.344 0.944
51 O 0.345 0.343 0.195
52 O 0.346 0.355 0.698
53 O 0.446 0.112 0.338
54 O 0.450 0.099 0.835
55 O 0.487 0.162 0.548
56 O 0.489 0.160 0.045
57 O 0.511 0.840 0.955
58 O 0.513 0.838 0.452
59 O 0.550 0.901 0.165
60 O 0.554 0.888 0.662
61 O 0.654 0.645 0.302
62 O 0.655 0.657 0.805
63 O 0.657 0.656 0.056
64 O 0.660 0.653 0.550
65 O 0.670 0.236 0.763
66 O 0.672 0.242 0.266
67 O 0.756 0.329 0.982
68 O 0.758 0.327 0.483
69 O 0.759 0.037 0.384
70 O 0.764 0.038 0.886
71 O 0.797 0.955 0.103
72 O 0.798 0.956 0.602
73 O 0.839 0.512 0.704
74 O 0.843 0.510 0.204
75 O 0.899 0.550 0.913
76 O 0.902 0.548 0.413
77 O 0.953 0.794 0.351
78 O 0.956 0.796 0.852
79 O 0.960 0.238 0.864
80 O 0.961 0.234 0.366

Properties
Calculated volume = 863.3 Å³ per cell
Formation enthalpy at 0 K = -105.96 eV per formula unit
Electronic total energy = -7.04 eV per atom

=====

No. 5
Here is a geometry-optimized Li3MnVP3O12 structure from the Materials Project database. Energies are from PBE+U.

Lattice parameters (Å, degrees): 9.832 9.873 9.921 85.78 87.70 87.58
Atoms (fractional coordinates):
1 Li 0.000 0.000 0.000
2 Li 0.029 0.754 0.134
3 Li 0.096 0.064 0.740
4 Li 0.187 0.573 0.649
5 Li 0.318 0.775 0.439
6 Li 0.412 0.360 0.780
7 Li 0.472 0.464 0.502
8 Li 0.516 0.656 0.233
9 Li 0.683 0.164 0.062
10 Li 0.719 0.432 0.370
11 Li 0.806 0.960 0.270
12 Li 0.890 0.279 0.854
13 Mn 0.478 0.991 0.767
14 Mn 0.696 0.770 0.748
15 Mn 0.702 0.551 0.972
16 Mn 0.976 0.260 0.475
17 V 0.199 0.268 0.259
18 V 0.204 0.491 0.041
19 V 0.416 0.053 0.258
20 V 0.914 0.761 0.536
21 P 0.095 0.969 0.331
22 P 0.118 0.563 0.360
23 P 0.273 0.178 0.959
24 P 0.305 0.190 0.556
25 P 0.403 0.666 0.832
26 P 0.502 0.371 0.178
27 P 0.600 0.841 0.450
28 P 0.614 0.881 0.057
29 P 0.776 0.463 0.645
30 P 0.800 0.062 0.675
31 P 0.901 0.350 0.143
32 P 0.997 0.696 0.855
33 O 0.016 0.930 0.210
34 O 0.033 0.813 0.937
35 O 0.037 0.711 0.699
36 O 0.037 0.902 0.463
37 O 0.063 0.355 0.126
38 O 0.066 0.560 0.906
39 O 0.069 0.129 0.336
40 O 0.113 0.401 0.384
41 O 0.143 0.601 0.205
42 O 0.150 0.188 0.589
43 O 0.152 0.106 0.912
44 O 0.232 0.605 0.447
45 O 0.251 0.933 0.323
46 O 0.258 0.336 0.926
47 O 0.278 0.145 0.119
48 O 0.332 0.188 0.395
49 O 0.341 0.398 0.177
50 O 0.342 0.617 0.973
51 O 0.360 0.572 0.726
52 O 0.365 0.053 0.621
53 O 0.368 0.817 0.800
54 O 0.371 0.316 0.600
55 O 0.411 0.140 0.889
56 O 0.477 0.927 0.123
57 O 0.511 0.731 0.402
58 O 0.538 0.217 0.197
59 O 0.548 0.456 0.289
60 O 0.558 0.981 0.382
61 O 0.567 0.642 0.840
62 O 0.568 0.419 0.038
63 O 0.576 0.842 0.608
64 O 0.604 0.903 0.897
65 O 0.639 0.727 0.094
66 O 0.650 0.097 0.705
67 O 0.661 0.429 0.556
68 O 0.728 0.969 0.097
69 O 0.755 0.818 0.413
70 O 0.756 0.423 0.797
71 O 0.792 0.622 0.623
72 O 0.824 0.900 0.669
73 O 0.834 0.683 0.874
74 O 0.840 0.494 0.098
75 O 0.845 0.126 0.532
76 O 0.857 0.244 0.050
77 O 0.860 0.320 0.293
78 O 0.898 0.103 0.781
79 O 0.915 0.392 0.599
80 O 0.979 0.627 0.400

Properties
Calculated volume = 958.9 Å³ per cell
Formation enthalpy at 0 K = -52.03 eV per formula unit
Electronic total energy = -7.00 eV per atom

=====

- What is the formula in the fourth record?
  Li6MnV3P6O24

=====

- What is the formula in the third record?
  Li6MnV3P6O24